Entry from the Materials Project: crystalline MnP2O7 at its relaxed geometry (GGA+U).

```
MnP2O7
1.0
7.1851 0.0000 0.0000
0.0000 7.9649 0.0000
-3.2176 0.0000 8.6868
Mn P O
4 8 28
direct
0.2327 0.0051 0.2537
0.2327 0.4949 0.7538
0.7673 0.5051 0.2462
0.7673 0.9949 0.7462
0.1746 0.6993 0.4462
0.1746 0.8007 0.9462
0.4241 0.2395 0.5551
0.4241 0.2605 0.0551
0.5759 0.7395 0.9449
0.5759 0.7605 0.4449
0.8254 0.1993 0.0538
0.8254 0.3007 0.5538
0.0388 0.5773 0.3306
0.0388 0.9227 0.8306
0.1468 0.6140 0.9003
0.1468 0.8860 0.4003
0.1736 0.6842 0.6113
0.1736 0.8158 0.1113
0.2929 0.1434 0.1072
0.2929 0.3566 0.6072
0.3038 0.1950 0.3878
0.3038 0.3050 0.8878
0.3907 0.6472 0.4444
0.3907 0.8528 0.9444
0.4971 0.5850 0.8415
0.4971 0.9150 0.3415
0.5029 0.0850 0.6585
0.5029 0.4150 0.1585
0.6093 0.1472 0.0556
0.6093 0.3528 0.5556
0.6962 0.6950 0.1122
0.6962 0.8050 0.6122
0.7071 0.6434 0.3928
0.7071 0.8566 0.8928
0.8264 0.1842 0.8887
0.8264 0.3158 0.3887
0.8532 0.1140 0.5997
0.8532 0.3860 0.0997
0.9612 0.0773 0.1694
0.9612 0.4227 0.6694
```

Its formation energy is -2.37 eV per atom. Its energy above the most stable polymorph in this dataset is 11.7 meV/atom. As for the total DFT energy (no corrections): -7.1870 eV per atom.